The following is a r2SCAN calculation of crystalline YNi2 at its relaxed geometry, from the Materials Project.

Output
Energy of formation in eV/atom: -0.36
Calculated density in Mg/m³: 7.6

Cell lengths 5.035, 5.035, 5.035 Å; angles 60.00, 60.00, 60.00 degrees
Element x y z (fractional)
Y (0.125, 0.125, 0.125)
Y (0.875, 0.875, 0.875)
Ni (0.000, 0.500, 0.500)
Ni (0.500, 0.000, 0.500)
Ni (0.500, 0.500, 0.000)
Ni (0.500, 0.500, 0.500)



The following is a r2SCAN calculation of crystalline ErP3O9 at its relaxed geometry, from the Materials Project.

Output
Energy of formation in eV/atom: -2.78
Calculated density in Mg/m³: 3.7

Cell lengths 6.933, 9.656, 10.897 Å; angles 90.00, 91.61, 90.00 degrees
Element x y z (fractional)
Er (0.171, 0.250, 0.464)
Er (0.312, 0.250, 0.982)
Er (0.688, 0.750, 0.018)
Er (0.829, 0.750, 0.536)
P (0.177, 0.750, 0.103)
P (0.265, 0.010, 0.233)
P (0.265, 0.490, 0.233)
P (0.315, 0.750, 0.627)
P (0.325, 0.035, 0.716)
P (0.325, 0.465, 0.716)
P (0.675, 0.535, 0.284)
P (0.675, 0.965, 0.284)
P (0.685, 0.250, 0.373)
P (0.735, 0.510, 0.767)
P (0.735, 0.990, 0.767)
P (0.823, 0.250, 0.897)
O (0.009, 0.750, 0.015)
O (0.147, 0.087, 0.321)
O (0.147, 0.413, 0.321)
O (0.148, 0.750, 0.538)
O (0.150, 0.625, 0.196)
O (0.150, 0.875, 0.196)
O (0.226, 0.093, 0.605)
O (0.226, 0.407, 0.605)
O (0.279, 0.091, 0.838)
O (0.279, 0.409, 0.838)
O (0.294, 0.627, 0.723)
O (0.294, 0.873, 0.723)
O (0.329, 0.085, 0.122)
O (0.329, 0.415, 0.122)
O (0.375, 0.750, 0.055)
O (0.449, 0.551, 0.306)
O (0.449, 0.949, 0.306)
O (0.487, 0.250, 0.423)
O (0.513, 0.750, 0.577)
O (0.551, 0.051, 0.694)
O (0.551, 0.449, 0.694)
O (0.625, 0.250, 0.945)
O (0.671, 0.585, 0.878)
O (0.671, 0.915, 0.878)
O (0.706, 0.127, 0.277)
O (0.706, 0.373, 0.277)
O (0.721, 0.591, 0.162)
O (0.721, 0.909, 0.162)
O (0.774, 0.593, 0.395)
O (0.774, 0.907, 0.395)
O (0.850, 0.125, 0.804)
O (0.850, 0.375, 0.804)
O (0.852, 0.250, 0.462)
O (0.853, 0.587, 0.679)
O (0.853, 0.913, 0.679)
O (0.991, 0.250, 0.985)



The following is a r2SCAN calculation of crystalline Si4Rh3 at its relaxed geometry, from the Materials Project.

Output
Energy of formation in eV/atom: -0.73
Calculated density in Mg/m³: 7.0

Cell lengths 18.832, 3.622, 5.828 Å; angles 90.00, 90.00, 90.00 degrees
Element x y z (fractional)
Si (0.049, 0.250, 0.020)
Si (0.090, 0.250, 0.571)
Si (0.143, 0.750, 0.113)
Si (0.232, 0.250, 0.279)
Si (0.268, 0.750, 0.779)
Si (0.357, 0.250, 0.613)
Si (0.410, 0.750, 0.071)
Si (0.451, 0.750, 0.520)
Si (0.549, 0.250, 0.480)
Si (0.590, 0.250, 0.929)
Si (0.643, 0.750, 0.387)
Si (0.732, 0.250, 0.221)
Si (0.768, 0.750, 0.721)
Si (0.857, 0.250, 0.887)
Si (0.910, 0.750, 0.429)
Si (0.951, 0.750, 0.980)
Rh (0.032, 0.750, 0.311)
Rh (0.174, 0.250, 0.887)
Rh (0.176, 0.750, 0.496)
Rh (0.324, 0.250, 0.996)
Rh (0.326, 0.750, 0.387)
Rh (0.468, 0.250, 0.811)
Rh (0.532, 0.750, 0.189)
Rh (0.674, 0.250, 0.613)
Rh (0.676, 0.750, 0.004)
Rh (0.824, 0.250, 0.504)
Rh (0.826, 0.750, 0.113)
Rh (0.968, 0.250, 0.689)



The following is a r2SCAN calculation of crystalline RbGaCl4 at its relaxed geometry, from the Materials Project.

Output
Energy of formation in eV/atom: -1.67
Calculated density in Mg/m³: 2.7

Cell lengths 11.190, 7.098, 9.364 Å; angles 90.00, 90.00, 90.00 degrees
Element x y z (fractional)
Rb (0.183, 0.250, 0.173)
Rb (0.317, 0.750, 0.673)
Rb (0.683, 0.250, 0.327)
Rb (0.817, 0.750, 0.827)
Ga (0.068, 0.250, 0.689)
Ga (0.432, 0.750, 0.189)
Ga (0.568, 0.250, 0.811)
Ga (0.932, 0.750, 0.311)
Cl (0.080, 0.001, 0.826)
Cl (0.080, 0.499, 0.826)
Cl (0.103, 0.750, 0.423)
Cl (0.220, 0.250, 0.545)
Cl (0.280, 0.750, 0.045)
Cl (0.397, 0.250, 0.923)
Cl (0.420, 0.501, 0.326)
Cl (0.420, 0.999, 0.326)
Cl (0.580, 0.001, 0.674)
Cl (0.580, 0.499, 0.674)
Cl (0.603, 0.750, 0.077)
Cl (0.720, 0.250, 0.955)
Cl (0.780, 0.750, 0.455)
Cl (0.897, 0.250, 0.577)
Cl (0.920, 0.501, 0.174)
Cl (0.920, 0.999, 0.174)



The following is a r2SCAN calculation of crystalline Na2CO3 at its relaxed geometry, from the Materials Project.

Output
Energy of formation in eV/atom: -1.88
Calculated density in Mg/m³: 2.7

Cell lengths 17.678, 5.221, 19.021 Å; angles 90.00, 114.84, 90.00 degrees
Element x y z (fractional)
Na (0.056, 0.189, 0.205)
Na (0.056, 0.311, 0.705)
Na (0.083, 0.186, 0.372)
Na (0.083, 0.314, 0.872)
Na (0.085, 0.727, 0.127)
Na (0.085, 0.773, 0.627)
Na (0.107, 0.218, 0.535)
Na (0.107, 0.282, 0.035)
Na (0.228, 0.675, 0.463)
Na (0.228, 0.825, 0.963)
Na (0.250, 0.716, 0.625)
Na (0.250, 0.784, 0.125)
Na (0.251, 0.196, 0.375)
Na (0.251, 0.304, 0.875)
Na (0.276, 0.724, 0.290)
Na (0.276, 0.776, 0.790)
Na (0.392, 0.186, 0.711)
Na (0.392, 0.314, 0.211)
Na (0.417, 0.238, 0.874)
Na (0.417, 0.262, 0.374)
Na (0.417, 0.689, 0.625)
Na (0.417, 0.811, 0.125)
Na (0.442, 0.202, 0.538)
Na (0.442, 0.298, 0.038)
Na (0.558, 0.702, 0.962)
Na (0.558, 0.798, 0.462)
Na (0.583, 0.189, 0.875)
Na (0.583, 0.311, 0.375)
Na (0.583, 0.738, 0.626)
Na (0.583, 0.762, 0.126)
Na (0.608, 0.686, 0.789)
Na (0.608, 0.814, 0.289)
Na (0.724, 0.224, 0.210)
Na (0.724, 0.276, 0.710)
Na (0.749, 0.696, 0.125)
Na (0.749, 0.804, 0.625)
Na (0.750, 0.216, 0.875)
Na (0.750, 0.284, 0.375)
Na (0.772, 0.175, 0.037)
Na (0.772, 0.325, 0.537)
Na (0.893, 0.718, 0.965)
Na (0.893, 0.782, 0.465)
Na (0.915, 0.227, 0.373)
Na (0.915, 0.273, 0.873)
Na (0.917, 0.686, 0.128)
Na (0.917, 0.814, 0.628)
Na (0.944, 0.689, 0.295)
Na (0.944, 0.811, 0.795)
C (0.055, 0.710, 0.457)
C (0.055, 0.790, 0.957)
C (0.113, 0.685, 0.294)
C (0.113, 0.815, 0.794)
C (0.223, 0.245, 0.208)
C (0.223, 0.255, 0.708)
C (0.278, 0.194, 0.543)
C (0.278, 0.306, 0.043)
C (0.390, 0.723, 0.458)
C (0.390, 0.777, 0.958)
C (0.444, 0.705, 0.793)
C (0.444, 0.795, 0.293)
C (0.556, 0.205, 0.707)
C (0.556, 0.295, 0.207)
C (0.610, 0.223, 0.042)
C (0.610, 0.277, 0.542)
C (0.722, 0.694, 0.957)
C (0.722, 0.806, 0.457)
C (0.777, 0.745, 0.292)
C (0.777, 0.755, 0.792)
C (0.887, 0.185, 0.206)
C (0.887, 0.315, 0.706)
C (0.945, 0.210, 0.043)
C (0.945, 0.290, 0.543)
O (0.013, 0.585, 0.925)
O (0.013, 0.915, 0.425)
O (0.028, 0.010, 0.925)
O (0.028, 0.490, 0.425)
O (0.046, 0.737, 0.233)
O (0.046, 0.763, 0.733)
O (0.122, 0.725, 0.521)
O (0.122, 0.775, 0.021)
O (0.140, 0.047, 0.808)
O (0.140, 0.453, 0.308)
O (0.154, 0.634, 0.841)
O (0.154, 0.866, 0.341)
O (0.184, 0.027, 0.190)
O (0.184, 0.473, 0.690)
O (0.193, 0.059, 0.663)
O (0.193, 0.441, 0.163)
O (0.211, 0.227, 0.480)
O (0.211, 0.273, 0.980)
O (0.291, 0.232, 0.771)
O (0.291, 0.268, 0.271)
O (0.312, 0.114, 0.088)
O (0.312, 0.386, 0.588)
O (0.312, 0.529, 0.060)
O (0.312, 0.971, 0.560)
O (0.351, 0.505, 0.440)
O (0.351, 0.995, 0.940)
O (0.361, 0.583, 0.912)
O (0.361, 0.917, 0.412)
O (0.376, 0.735, 0.731)
O (0.376, 0.765, 0.231)
O (0.457, 0.746, 0.521)
O (0.457, 0.754, 0.021)
O (0.476, 0.604, 0.339)
O (0.476, 0.896, 0.839)
O (0.481, 0.016, 0.308)
O (0.481, 0.484, 0.808)
O (0.519, 0.516, 0.192)
O (0.519, 0.984, 0.692)
O (0.524, 0.104, 0.161)
O (0.524, 0.396, 0.661)
O (0.543, 0.246, 0.979)
O (0.543, 0.254, 0.479)
O (0.624, 0.235, 0.769)
O (0.624, 0.265, 0.269)
O (0.639, 0.083, 0.588)
O (0.639, 0.417, 0.088)
O (0.649, 0.005, 0.060)
O (0.649, 0.495, 0.560)
O (0.688, 0.029, 0.440)
O (0.688, 0.471, 0.940)
O (0.688, 0.614, 0.412)
O (0.688, 0.886, 0.912)
O (0.709, 0.732, 0.729)
O (0.709, 0.768, 0.229)
O (0.789, 0.727, 0.020)
O (0.789, 0.773, 0.520)
O (0.807, 0.559, 0.837)
O (0.807, 0.941, 0.337)
O (0.816, 0.527, 0.310)
O (0.816, 0.973, 0.810)
O (0.846, 0.134, 0.659)
O (0.846, 0.366, 0.159)
O (0.860, 0.547, 0.692)
O (0.860, 0.953, 0.192)
O (0.878, 0.225, 0.979)
O (0.878, 0.275, 0.479)
O (0.954, 0.237, 0.267)
O (0.954, 0.263, 0.767)
O (0.972, 0.510, 0.575)
O (0.972, 0.990, 0.075)
O (0.987, 0.085, 0.575)
O (0.987, 0.415, 0.075)



The following is a r2SCAN calculation of crystalline Li5IO6 at its relaxed geometry, from the Materials Project.

Output
Energy of formation in eV/atom: -1.75
Calculated density in Mg/m³: 4.1

Cell lengths 5.069, 5.069, 14.215 Å; angles 90.00, 90.00, 120.00 degrees
Element x y z (fractional)
Li (0.214, 0.107, 0.000)
Li (0.222, 0.444, 0.167)
Li (0.222, 0.444, 0.667)
Li (0.222, 0.778, 0.333)
Li (0.222, 0.778, 0.833)
Li (0.223, 0.112, 0.500)
Li (0.553, 0.106, 0.667)
Li (0.553, 0.447, 0.333)
Li (0.556, 0.778, 0.000)
Li (0.556, 0.778, 0.500)
Li (0.888, 0.112, 0.833)
Li (0.888, 0.777, 0.167)
Li (0.893, 0.107, 0.333)
Li (0.893, 0.786, 0.667)
Li (0.894, 0.447, 0.000)
I (0.555, 0.111, 0.167)
I (0.555, 0.445, 0.833)
I (0.889, 0.445, 0.500)
O (0.191, 0.444, 0.423)
O (0.191, 0.747, 0.577)
O (0.253, 0.444, 0.910)
O (0.253, 0.809, 0.090)
O (0.254, 0.109, 0.245)
O (0.254, 0.145, 0.755)
O (0.553, 0.141, 0.909)
O (0.553, 0.411, 0.091)
O (0.556, 0.747, 0.756)
O (0.556, 0.809, 0.244)
O (0.589, 0.141, 0.425)
O (0.589, 0.447, 0.575)
O (0.855, 0.109, 0.089)
O (0.855, 0.746, 0.911)
O (0.859, 0.411, 0.242)
O (0.859, 0.447, 0.758)
O (0.891, 0.145, 0.578)
O (0.891, 0.746, 0.422)



The following is a r2SCAN calculation of crystalline Sm3Lu at its relaxed geometry, from the Materials Project.

Output
Energy of formation in eV/atom: 0.01
Calculated density in Mg/m³: 7.8

Cell lengths 7.330, 7.330, 5.705 Å; angles 90.00, 90.00, 120.00 degrees
Element x y z (fractional)
Sm (0.168, 0.337, 0.250)
Sm (0.168, 0.832, 0.250)
Sm (0.337, 0.168, 0.750)
Sm (0.663, 0.832, 0.250)
Sm (0.832, 0.168, 0.750)
Sm (0.832, 0.663, 0.750)
Lu (0.333, 0.667, 0.750)
Lu (0.667, 0.333, 0.250)



The following is a r2SCAN calculation of crystalline NaDyCl4 at its relaxed geometry, from the Materials Project.

Output
Energy of formation in eV/atom: -2.37
Calculated density in Mg/m³: 3.6

Cell lengths 6.598, 6.699, 6.944 Å; angles 89.42, 88.10, 78.86 degrees
Element x y z (fractional)
Na (0.231, 0.196, 0.035)
Na (0.769, 0.804, 0.965)
Dy (0.210, 0.700, 0.445)
Dy (0.790, 0.300, 0.555)
Cl (0.048, 0.502, 0.745)
Cl (0.097, 0.002, 0.708)
Cl (0.391, 0.793, 0.132)
Cl (0.432, 0.312, 0.380)
Cl (0.568, 0.688, 0.620)
Cl (0.609, 0.207, 0.868)
Cl (0.903, 0.998, 0.292)
Cl (0.952, 0.498, 0.255)



The following is a r2SCAN calculation of crystalline TiCr2 at its relaxed geometry, from the Materials Project.

Output
Energy of formation in eV/atom: 0.08
Polymorph energy (0 for the lowest one) in eV/atom: 0.000
Calculated density in Mg/m³: 6.3

Cell lengths 4.827, 4.827, 4.827 Å; angles 60.00, 60.00, 60.00 degrees
Element x y z (fractional)
Ti (0.125, 0.125, 0.125)
Ti (0.875, 0.875, 0.875)
Cr (0.000, 0.500, 0.500)
Cr (0.500, 0.000, 0.500)
Cr (0.500, 0.500, 0.000)
Cr (0.500, 0.500, 0.500)



The following is a r2SCAN calculation of crystalline LiV2O4 at its relaxed geometry, from the Materials Project.

Output
Energy of formation in eV/atom: -2.62
Calculated density in Mg/m³: 4.1

Cell lengths 5.812, 5.812, 5.812 Å; angles 120.02, 120.01, 89.97 degrees
Element x y z (fractional)
Li (0.376, 0.126, 0.250)
Li (0.624, 0.874, 0.750)
V (0.000, 0.000, 0.500)
V (0.000, 0.500, 0.000)
V (0.000, 0.500, 0.500)
V (0.500, 0.500, 0.000)
O (0.220, 0.740, 0.480)
O (0.240, 0.260, 0.520)
O (0.240, 0.260, 0.980)
O (0.240, 0.720, 0.980)
O (0.760, 0.280, 0.020)
O (0.760, 0.740, 0.020)
O (0.760, 0.740, 0.480)
O (0.780, 0.260, 0.520)



The following is a r2SCAN calculation of crystalline Li4P2O7 at its relaxed geometry, from the Materials Project.

Output
Energy of formation in eV/atom: -2.58
Polymorph energy (0 for the lowest one) in eV/atom: 0.000
Calculated density in Mg/m³: 2.4

Cell lengths 5.160, 7.069, 8.510 Å; angles 76.98, 89.98, 68.85 degrees
Element x y z (fractional)
Li (0.026, 0.325, 0.291)
Li (0.053, 0.245, 0.950)
Li (0.254, 0.855, 0.512)
Li (0.394, 0.587, 0.254)
Li (0.606, 0.413, 0.746)
Li (0.746, 0.145, 0.488)
Li (0.947, 0.755, 0.050)
Li (0.974, 0.675, 0.709)
P (0.216, 0.223, 0.654)
P (0.428, 0.786, 0.869)
P (0.572, 0.214, 0.131)
P (0.784, 0.777, 0.346)
O (0.009, 0.601, 0.293)
O (0.118, 0.151, 0.517)
O (0.263, 0.256, 0.123)
O (0.266, 0.039, 0.817)
O (0.318, 0.727, 0.029)
O (0.339, 0.702, 0.736)
O (0.484, 0.259, 0.626)
O (0.516, 0.741, 0.374)
O (0.661, 0.298, 0.264)
O (0.682, 0.273, 0.971)
O (0.734, 0.961, 0.183)
O (0.737, 0.744, 0.877)
O (0.882, 0.849, 0.483)
O (0.991, 0.399, 0.707)